(1)
Tm2Si3Pd, relaxed, DFT r²SCAN; ΔH_f (0 K) = -927 meV/atom; density = 7814 kg/m³
1.0
1.4093 2.9918 -7.3616
-6.7149 -4.2482 1.4116
-3.8200 6.6999 1.9916
Tm Si Pd
8 12 4
Cartesian
-0.2511 3.1705 -3.1832 Tm
-8.8745 2.2730 -0.7752 Tm
-2.9029 2.5426 -6.1570 Tm
-6.2227 2.9009 2.1986 Tm
-3.6073 1.0472 -2.4777 Tm
-5.5183 4.3963 -1.4807 Tm
-7.6699 -2.5732 1.9095 Tm
-8.1705 3.7685 -4.4562 Tm
-5.8110 5.7855 1.2388 Si
-3.3145 -0.3420 -5.1971 Si
-8.4786 5.1538 -1.7528 Si
-5.2221 3.0037 -4.2026 Si
-0.6470 0.2897 -2.2056 Si
-3.9035 2.4398 0.2443 Si
-9.1872 3.6495 1.9485 Si
-2.5546 3.6355 -1.2111 Si
0.0616 1.7940 -5.9069 Si
-6.5710 1.8081 -2.7473 Si
-1.8459 5.1397 -4.9124 Si
-7.2796 0.3038 0.9540 Si
-7.8267 4.8648 0.4787 Pd
-1.2989 0.5787 -4.4371 Pd
-3.2086 3.9282 -3.4415 Pd
-5.9170 1.5154 -0.5169 Pd



(2)
TmSi2Pd2, relaxed, DFT r²SCAN; ΔH_f (0 K) = -950 meV/atom; density = 8731 kg/m³; crystal system = tetragonal
1.0
-3.8825 -1.2938 0.0898
0.8837 -2.8465 -2.8058
2.6522 -1.1378 4.9757
Tm Si Pd
1 2 2
Cartesian
0.0000 0.0000 0.0000 Tm
0.8874 -2.4695 2.7848 Si
-1.2340 -2.8087 -0.5251 Si
-1.3649 -2.2509 1.8538 Pd
1.0182 -3.0273 0.4060 Pd



(3)
U3Si6Pd20, relaxed, DFT r²SCAN; ΔH_f (0 K) = -701 meV/atom; density = 10777 kg/m³; crystal system = monoclinic
1.0
0.0052 6.1418 6.1545
6.1341 0.0024 6.1570
6.1392 6.1460 -0.0016
U Si Pd
3 6 20
Cartesian
3.0698 3.0726 3.0778 U
9.2087 9.2176 9.2321 U
0.0053 6.1418 6.1545 U
3.2805 6.1426 6.1544 Si
6.1386 3.2843 6.1551 Si
8.9980 6.1476 6.1555 Si
6.1394 6.1447 9.0164 Si
6.1399 9.0059 6.1547 Si
6.1391 6.1455 3.2935 Si
10.1522 12.2876 10.1772 Pd
7.5605 4.7234 7.5786 Pd
6.1403 8.2687 10.1805 Pd
6.1361 2.1259 8.2843 Pd
8.2631 10.1643 6.1544 Pd
4.7181 7.5667 4.7313 Pd
8.2656 6.1478 10.1788 Pd
4.7182 7.5663 7.5775 Pd
4.0130 6.1424 2.1311 Pd
4.7156 4.7222 4.7317 Pd
10.1450 4.0234 6.1553 Pd
2.1336 8.2669 6.1547 Pd
7.5629 7.5680 7.5783 Pd
7.5603 4.7240 4.7324 Pd
4.7155 4.7220 7.5789 Pd
4.0155 2.1258 6.1554 Pd
2.1264 0.0027 2.1327 Pd
7.5631 7.5683 4.7309 Pd
6.1380 4.0216 2.1294 Pd
6.1426 10.1643 4.0256 Pd



(4)
YSi2Pd2, relaxed, DFT r²SCAN; ΔH_f (0 K) = -977 meV/atom; density = 6994 kg/m³; crystal system = tetragonal
1.0
3.8600 0.0000 -1.4921
-0.5767 3.8167 -1.4921
0.0082 0.0096 5.7603
Y Si Pd
1 2 2
Cartesian
0.0000 0.0000 0.0000 Y
2.0269 2.3563 -0.4952 Si
1.2645 1.4700 3.2714 Si
0.5366 2.8673 1.3881 Pd
2.7549 0.9589 1.3881 Pd



(5)
YSiPd, relaxed, DFT r²SCAN; ΔH_f (0 K) = -1055 meV/atom; density = 6602 kg/m³; crystal system = orthorhombic
1.0
-3.6331 -2.2084 -0.7522
3.7166 -4.5609 -4.5604
2.8897 -8.4265 10.7825
Y Si Pd
8 8 8
Cartesian
3.2806 -11.0114 4.0917 Y
2.9540 -7.2935 7.1455 Y
1.8454 -6.8263 -1.2634 Y
1.4995 -3.0521 1.7181 Y
0.8137 -4.3320 -3.6035 Y
2.5312 -5.5464 4.0582 Y
2.2291 -8.5090 1.8239 Y
1.1158 -1.3693 -1.3692 Y
1.5659 -8.4097 4.7354 Si
4.6687 -9.8952 6.5019 Si
0.7198 -5.9424 1.5781 Si
2.6251 -3.9360 -1.1234 Si
-1.2127 -2.2960 0.2066 Si
4.5577 -7.5824 0.2481 Si
1.1431 -9.1657 8.9970 Si
5.0915 -9.1392 2.2402 Si
0.2254 -6.5785 5.8335 Pd
6.0092 -11.7264 5.4037 Pd
-0.4002 -4.7541 3.4991 Pd
3.7451 -5.1242 -3.0444 Pd
0.1875 -4.3236 -0.6032 Pd
3.1575 -5.5547 1.0579 Pd
2.1769 -10.1250 6.8202 Pd
4.0577 -8.1799 4.4170 Pd



(6)
YSiPd2, relaxed, DFT r²SCAN; ΔH_f (0 K) = -1008 meV/atom; density = 7809 kg/m³; crystal system = orthorhombic
1.0
-1.5022 -2.5616 -4.6489
6.2632 1.2491 -2.7121
2.4425 -6.3560 2.7130
Y Si Pd
4 4 8
Cartesian
1.4236 -0.2384 -1.2600 Y
2.3212 -3.9683 -0.9051 Y
4.8822 -3.7001 -3.7430 Y
5.7798 -7.4300 -3.3881 Y
4.4617 -0.7625 -3.3611 Si
2.7418 -6.9060 -1.2869 Si
1.1978 -4.2783 -3.6421 Si
6.0056 -3.3902 -1.0059 Si
4.1075 -1.6066 -1.0573 Pd
6.5847 -1.1125 -2.1300 Pd
4.8600 -5.5838 -1.1513 Pd
3.0959 -6.0619 -3.5908 Pd
2.3434 -2.0847 -3.4967 Pd
0.6187 -6.5560 -2.5181 Pd
7.3372 -5.0897 -2.2240 Pd
-0.1338 -2.5787 -2.4240 Pd



(7)
Y2Si3Pd, relaxed, DFT r²SCAN; ΔH_f (0 K) = -965 meV/atom; density = 5241 kg/m³; crystal system = hexagonal
1.0
-4.4447 5.0935 -4.5028
0.0483 0.7180 8.0905
6.3579 5.1132 -0.4918
Y Si Pd
8 12 4
Cartesian
-0.6333 3.8257 -2.3732 Y
2.5459 6.3819 -2.6198 Y
-2.8302 6.7298 -0.5804 Y
0.3482 9.2870 -0.8264 Y
-0.6091 4.1845 1.6697 Y
2.5701 6.7409 1.4245 Y
1.5894 1.2783 -0.1230 Y
0.3721 9.6464 3.2188 Y
-0.7193 1.0852 1.9376 Si
2.6804 9.8394 1.1585 Si
-2.9272 4.0037 3.7394 Si
-0.4935 7.2869 1.4041 Si
4.8885 6.9205 -0.6434 Si
2.4553 3.6383 1.6921 Si
-0.6950 1.4458 6.0008 Si
1.7146 4.3679 -0.3979 Si
2.6561 9.4788 -2.9051 Si
0.2475 6.5570 3.4938 Si
-0.5178 6.9262 -2.6595 Si
2.4796 3.9989 5.7552 Si
-1.4473 2.1781 3.8926 Pd
3.4091 8.7469 -0.7968 Pd
0.2336 6.1929 -0.5511 Pd
1.7278 4.7316 3.6470 Pd



(8)
Yb3Si6Pd20, relaxed, DFT r²SCAN; ΔH_f (0 K) = -842 meV/atom; density = 10366 kg/m³; crystal system = cubic
1.0
0.0000 6.0871 6.0871
6.0871 0.0000 6.0871
6.0871 6.0871 0.0000
Yb Si Pd
3 6 20
Cartesian
3.0435 3.0435 3.0435 Yb
9.1306 9.1306 9.1306 Yb
0.0000 0.0000 0.0000 Yb
3.2569 6.0871 6.0871 Si
8.9173 6.0871 6.0871 Si
6.0871 3.2569 6.0871 Si
6.0871 8.9173 6.0871 Si
6.0871 6.0871 3.2569 Si
6.0871 6.0871 8.9173 Si
4.6584 4.6584 4.6584 Pd
7.5158 7.5158 7.5158 Pd
7.5158 7.5158 4.6584 Pd
7.5158 4.6584 7.5158 Pd
4.6583 4.6583 7.5158 Pd
4.6583 7.5158 4.6583 Pd
4.6584 7.5158 7.5158 Pd
7.5158 4.6583 4.6583 Pd
0.0000 2.0994 2.0994 Pd
0.0000 3.9877 3.9877 Pd
6.0871 3.9877 2.0994 Pd
6.0871 2.0994 3.9877 Pd
2.0994 0.0000 2.0994 Pd
2.0994 6.0871 3.9877 Pd
3.9877 0.0000 3.9877 Pd
3.9877 6.0871 2.0994 Pd
2.0994 2.0994 0.0000 Pd
3.9877 3.9877 0.0000 Pd
2.0994 3.9877 6.0871 Pd
3.9877 2.0994 6.0871 Pd



(9)
YbSiPd2, relaxed, DFT r²SCAN; ΔH_f (0 K) = -1032 meV/atom; density = 10131 kg/m³; crystal system = orthorhombic
1.0
-3.5044 -4.0866 -0.7959
4.3343 -4.3490 3.2460
-3.1780 1.5058 6.2610
Yb Si Pd
4 4 8
Cartesian
1.9089 -4.6895 2.3133 Yb
1.0843 -3.0453 5.6174 Yb
-4.2570 -2.2403 6.3978 Yb
-3.4324 -3.8845 3.0937 Yb
-0.1904 -5.3047 4.2923 Si
-2.5561 -5.4575 7.2464 Si
-2.1576 -1.6251 4.4188 Si
0.2080 -1.4723 1.4647 Si
-1.3572 -5.8330 2.1926 Pd
-0.1280 -5.5269 6.8611 Pd
-2.7116 0.6298 5.2297 Pd
-0.4993 -3.1295 3.1387 Pd
-0.9908 -1.0969 6.5185 Pd
-2.2201 -1.4029 1.8500 Pd
0.3635 -7.5596 3.4813 Pd
-1.8488 -3.8003 5.5724 Pd



(10)
Sm10Pd21, relaxed, DFT r²SCAN; ΔH_f (0 K) = -875 meV/atom; density = 10272 kg/m³; crystal system = triclinic
1.0
5.8114 0.0000 -0.0004
-2.9057 12.5180 -0.1869
-0.0010 0.0069 16.6147
Sm Pd
20 42
Cartesian
2.9073 0.8413 4.6424 Sm
-0.0031 7.8687 3.1750 Sm
0.0062 11.6795 11.7889 Sm
-0.0011 10.7303 0.1669 Sm
2.9032 5.6148 1.2281 Sm
-0.0058 5.9446 10.6973 Sm
-0.0033 6.9142 15.2105 Sm
-0.0042 3.6029 5.8703 Sm
2.9023 3.7213 8.5607 Sm
2.9031 9.5595 14.3040 Sm
-0.0006 1.0671 9.8435 Sm
-0.0040 8.8001 7.8738 Sm
2.9054 10.6744 2.9385 Sm
2.9045 1.7962 16.2637 Sm
-0.0012 1.8475 13.4904 Sm
2.9049 11.4554 6.5878 Sm
-0.0035 2.9659 2.1281 Sm
2.9006 6.5759 5.7425 Sm
2.9027 4.6516 13.2658 Sm
2.9005 8.9141 10.5633 Sm
-1.5488 8.3705 0.6498 Pd
-0.0039 3.8115 8.6714 Pd
-0.0031 9.6155 13.8042 Pd
0.0021 0.9383 4.5181 Pd
1.4875 1.4062 7.2824 Pd
2.9013 3.5222 5.5231 Pd
2.9029 2.9091 2.6288 Pd
2.8998 5.9856 10.6284 Pd
2.9116 11.5826 11.9098 Pd
1.4542 3.1994 11.1917 Pd
-0.0052 6.5291 5.8124 Pd
-0.0011 1.4954 16.3122 Pd
2.9025 7.8541 3.1479 Pd
2.9018 8.7136 7.7625 Pd
2.9014 6.7519 15.2002 Pd
1.4806 0.4007 1.9423 Pd
1.5442 8.3688 0.6496 Pd
1.4196 5.0772 3.6958 Pd
-0.0054 8.9977 10.9122 Pd
4.3306 0.3998 1.9402 Pd
2.9041 1.6954 13.0987 Pd
2.9046 1.1219 9.8126 Pd
-0.0028 4.6691 13.2935 Pd
4.3516 3.1983 11.1915 Pd
-1.4254 12.1251 14.4894 Pd
4.3532 6.2621 8.2209 Pd
-1.4178 11.1148 9.1522 Pd
1.4472 9.3245 5.2422 Pd
4.3827 5.0771 3.6970 Pd
1.3568 4.1589 15.7900 Pd
-0.0021 5.7749 1.2379 Pd
2.9051 11.0336 0.1176 Pd
-0.0004 10.8257 3.3312 Pd
-1.4502 9.3243 5.2429 Pd
-0.0014 11.3993 6.6206 Pd
4.3194 1.4043 7.2839 Pd
4.4496 4.1587 15.7897 Pd
1.4248 12.1254 14.4887 Pd
1.4483 6.2617 8.2212 Pd
-1.4859 7.4443 12.7413 Pd
1.4771 7.4442 12.7419 Pd
1.4158 11.1157 9.1471 Pd



(11)
SnPd2, relaxed, DFT r²SCAN; ΔH_f (0 K) = -520 meV/atom; density = 10882 kg/m³; crystal system = orthorhombic
1.0
-3.8683 0.7785 1.8716
-2.1290 -4.6421 -2.4695
2.2303 -4.4641 6.4667
Sn Pd
4 8
Cartesian
-2.6690 -2.5218 3.1756 Sn
-1.0985 -5.8051 2.6919 Sn
-4.3459 -3.6170 0.1653 Sn
0.5793 -4.7117 5.7050 Sn
-3.1588 -7.3639 4.1773 Pd
-0.6081 -0.9637 1.6916 Pd
-2.2813 -4.6690 4.8701 Pd
-1.4857 -3.6588 0.9988 Pd
-3.6780 -5.2230 2.2138 Pd
-0.0896 -3.1036 3.6535 Pd
-3.4658 -1.1960 0.9773 Pd
-0.3010 -7.1325 4.8924 Pd



(12)
Sn3Pd, relaxed, DFT r²SCAN; ΔH_f (0 K) = -203 meV/atom; density = 8343 kg/m³; crystal system = orthorhombic
1.0
-4.2738 -0.9700 -4.8218
4.9043 -1.4011 -4.0651
1.5634 -7.8790 4.6019
Sn Pd
12 4
Cartesian
2.5597 -1.0833 -3.4655 Sn
1.2865 -1.8151 -6.5923 Sn
-0.6561 -0.5561 -2.2945 Sn
-1.9292 -1.2879 -5.4213 Sn
4.4099 -6.5514 -1.1014 Sn
-0.4550 -4.5561 -5.9958 Sn
0.7000 -3.4363 -1.4185 Sn
-0.2672 -5.9564 -0.0542 Sn
-2.2161 -3.6987 -3.1836 Sn
2.6489 -5.6940 1.7108 Sn
1.4938 -6.8138 -2.8664 Sn
2.4611 -4.2937 -4.2307 Sn
-2.6123 -7.4183 -0.5947 Pd
0.2171 -2.6163 -4.0686 Pd
-0.0981 -1.4307 0.3748 Pd
1.9767 -7.6338 -0.2163 Pd



(13)
Sn2Pd, relaxed, DFT r²SCAN; ΔH_f (0 K) = -328 meV/atom; density = 8676 kg/m³; crystal system = monoclinic
1.0
-2.9317 -5.3926 -2.2615
5.8184 -2.9453 -0.5106
-2.5709 -0.0334 12.8943
Sn Pd
16 8
Cartesian
-1.0936 -4.7070 1.4582 Sn
-2.0364 -3.1783 8.5057 Sn
-1.1211 -5.8218 7.6264 Sn
4.8824 -3.0356 2.6540 Sn
1.4094 -3.6643 8.6640 Sn
2.3522 -5.1930 1.6165 Sn
1.4369 -2.5495 2.4958 Sn
-4.5666 -5.3357 7.4681 Sn
0.8942 -2.8393 5.6257 Sn
2.8995 -4.9021 -1.5120 Sn
1.4531 -0.7392 -0.1285 Sn
2.3312 -7.0048 4.2403 Sn
-0.5784 -5.5318 4.4959 Sn
-0.0128 -3.4360 -1.2597 Sn
1.4336 -7.5989 -2.6432 Sn
-2.0154 -1.3663 5.8813 Sn
0.0188 -1.3143 7.8568 Pd
0.5600 -6.0787 -0.4142 Pd
-1.1461 -2.8876 3.6513 Pd
1.1996 -6.4617 9.1506 Pd
0.2970 -7.0569 2.2653 Pd
-0.2442 -2.2927 10.5366 Pd
1.4619 -5.4836 6.4706 Pd
-0.8838 -1.9096 0.9717 Pd



(14)
SnPd, relaxed, DFT r²SCAN; ΔH_f (0 K) = -502 meV/atom; density = 9561 kg/m³; crystal system = orthorhombic
1.0
4.0062 0.0000 0.0000
0.0000 6.0046 0.0000
0.0000 0.0000 6.5018
Sn Pd
4 4
Cartesian
3.0047 4.8470 2.6442 Sn
1.0016 1.1576 3.8576 Sn
3.0047 1.8447 0.6067 Sn
1.0016 4.1599 5.8951 Sn
3.0047 5.9519 5.2416 Pd
1.0016 0.0527 1.2602 Pd
3.0047 2.9496 4.5111 Pd
1.0016 3.0550 1.9907 Pd



(15)
TbSnPd, relaxed, DFT r²SCAN; ΔH_f (0 K) = -993 meV/atom; density = 9592 kg/m³; crystal system = orthorhombic
1.0
4.6218 0.0000 0.0000
0.0000 7.2312 0.0000
0.0000 0.0000 7.9572
Tb Sn Pd
4 4 4
Cartesian
3.4663 0.0645 6.3123 Tb
1.1554 7.1667 1.6450 Tb
3.4663 3.6801 5.6236 Tb
1.1554 3.5511 2.3336 Tb
3.4663 1.4069 3.2817 Sn
1.1554 5.8244 4.6755 Sn
3.4663 5.0225 0.6969 Sn
1.1554 2.2088 7.2603 Sn
3.4663 5.7557 3.3120 Pd
1.1554 1.4755 4.6452 Pd
3.4663 2.1401 0.6666 Pd
1.1554 5.0911 7.2906 Pd